(1)
Material: TlAgF3
Method: DFT, meta-GGA r2SCAN
State: optimized geometry

Structure (CIF):
```
data_TlAgF3
_space_group_name_H-M_alt 'C 1 m 1'
_space_group_IT_number 8
_cell_length_a 6.1371
_cell_length_b 6.1541
_cell_length_c 4.3361
_cell_angle_alpha 90.00
_cell_angle_beta 90.21
_cell_angle_gamma 90.00
loop_
_space_group_symop_operation_xyz
'x,y,z'
'x,-y,z'
'x+1/2,y+1/2,z'
'x+1/2,-y+1/2,z'
loop_
_atom_site_label
_atom_site_fract_x
_atom_site_fract_y
_atom_site_fract_z
Tl1 0.0000 0.0000 0.0000
Ag1 0.0027 0.5000 0.4942
F1 0.0032 0.5000 0.9943
F2 0.2524 0.2497 0.4921
```

Calculated values
- ΔE_f: -7.957 eV per formula unit
- Calculated total energy: -18.37 eV per atom



(2)
Material: Cu2PO4
Method: DFT, meta-GGA r2SCAN
State: optimized geometry

Structure (CIF):
```
data_Cu2PO4
_space_group_name_H-M_alt 'P -1'
_space_group_IT_number 2
_cell_length_a 5.9962
_cell_length_b 6.1932
_cell_length_c 9.2336
_cell_angle_alpha 73.98
_cell_angle_beta 84.15
_cell_angle_gamma 79.68
loop_
_space_group_symop_operation_xyz
'x,y,z'
'-x,-y,-z'
loop_
_atom_site_label
_atom_site_fract_x
_atom_site_fract_y
_atom_site_fract_z
Cu1 0.0252 0.1167 0.2284
Cu2 0.1921 0.3281 0.4701
Cu3 0.4355 0.1881 0.8455
Cu4 0.4514 0.6158 0.8655
P1 0.1207 0.6987 0.1175
P2 0.2907 0.8051 0.5010
O1 0.1241 0.2565 0.8292
O2 0.1345 0.6458 0.4777
O3 0.1511 0.7125 0.9460
O4 0.1951 0.0495 0.4089
O5 0.2407 0.4606 0.2010
O6 0.2450 0.8846 0.1455
O7 0.2793 0.8014 0.6681
O8 0.4726 0.2606 0.5628
```

Calculated values
- ΔE_f: -10.867 eV per formula unit
- Calculated total energy: -9.35 eV per atom



(3)
Material: NbSeF9
Method: DFT, meta-GGA r2SCAN
State: optimized geometry

Structure (CIF):
```
data_NbSeF9
_space_group_name_H-M_alt 'R 3'
_space_group_IT_number 146
_space_group_name_Hall 'R 3'
_cell_length_a 12.7003
_cell_length_b 12.7003
_cell_length_c 14.4420
_cell_angle_alpha 90.00
_cell_angle_beta 90.00
_cell_angle_gamma 120.00
loop_
_atom_site_label
_atom_site_fract_x
_atom_site_fract_y
_atom_site_fract_z
Nb1 0.0000 0.0000 0.0000
Nb2 0.0666 0.7039 0.2980
Se1 0.0000 0.0000 0.4712
Se2 0.0316 0.2755 0.8084
F1 0.0110 0.2912 0.0691
F2 0.0138 0.1294 0.9149
F3 0.0174 0.1200 0.4059
F4 0.0249 0.4106 0.2078
F5 0.0622 0.5713 0.3729
F6 0.0779 0.5701 0.8952
F7 0.0784 0.6896 0.5529
F8 0.0913 0.7099 0.0459
F9 0.1342 0.1159 0.0681
F10 0.1464 0.3778 0.8774
F11 0.1664 0.1423 0.5565
F12 0.1863 0.3912 0.3794
```

Calculated values
- ΔE_f: -27.971 eV per formula unit
- Calculated total energy: -8.65 eV per atom



(4)
Material: KBaPO4
Method: DFT, meta-GGA r2SCAN
State: optimized geometry

Structure (CIF):
```
data_KBaPO4
_space_group_name_H-M_alt 'P n m a'
_space_group_IT_number 62
_cell_length_a 7.7274
_cell_length_b 5.6719
_cell_length_c 10.0280
_cell_angle_alpha 90.00
_cell_angle_beta 90.00
_cell_angle_gamma 90.00
loop_
_space_group_symop_operation_xyz
'x,y,z'
'-x,-y,-z'
'-x+1/2,-y,z+1/2'
'x+1/2,y,-z+1/2'
'x+1/2,-y+1/2,-z+1/2'
'-x+1/2,y+1/2,z+1/2'
'-x,y+1/2,-z'
'x,-y+1/2,z'
loop_
_atom_site_label
_atom_site_fract_x
_atom_site_fract_y
_atom_site_fract_z
K1 0.1608 0.2500 0.0840
Ba1 0.0090 0.7500 0.3061
P1 0.2361 0.2500 0.4171
O1 0.0359 0.2500 0.4156
O2 0.1971 0.7500 0.0627
O3 0.1977 0.5269 0.8458
```

Calculated values
- ΔE_f: -20.237 eV per formula unit
- Calculated total energy: -12.24 eV per atom



(5)
Material: XeF2
Method: DFT, meta-GGA r2SCAN
State: optimized geometry

Structure (CIF):
```
data_XeF2
_space_group_name_H-M_alt 'I 4/m m m'
_space_group_IT_number 139
_space_group_name_Hall '-I 4 2'
_cell_length_a 4.2467
_cell_length_b 4.2467
_cell_length_c 7.0917
_cell_angle_alpha 90.00
_cell_angle_beta 90.00
_cell_angle_gamma 90.00
loop_
_atom_site_label
_atom_site_fract_x
_atom_site_fract_y
_atom_site_fract_z
Xe1 0.0000 0.0000 0.0000
F1 0.0000 0.0000 0.2904
```

Calculated values
- ΔE_f: -1.371 eV per formula unit
- Calculated total energy: -10.50 eV per atom



(6)
Material: YSn3
Method: DFT, meta-GGA r2SCAN
State: optimized geometry

Structure (CIF):
```
data_YSn3
_space_group_name_H-M_alt 'I 4/m m m'
_space_group_IT_number 139
_space_group_name_Hall '-I 4 2'
_cell_length_a 4.4356
_cell_length_b 4.4356
_cell_length_c 10.6517
_cell_angle_alpha 90.00
_cell_angle_beta 90.00
_cell_angle_gamma 90.00
loop_
_atom_site_label
_atom_site_fract_x
_atom_site_fract_y
_atom_site_fract_z
Y1 0.0000 0.0000 0.0000
Sn1 0.0000 0.0000 0.5000
Sn2 0.0000 0.5000 0.2500
```

Calculated values
- ΔE_f: -1.497 eV per formula unit
- Calculated total energy: -24.01 eV per atom



(7)
Material: HoZnRh
Method: DFT, meta-GGA r2SCAN
State: optimized geometry

Structure (CIF):
```
data_HoZnRh
_space_group_name_H-M_alt 'P n m a'
_space_group_IT_number 62
_cell_length_a 6.8757
_cell_length_b 3.9835
_cell_length_c 8.0424
_cell_angle_alpha 90.00
_cell_angle_beta 90.00
_cell_angle_gamma 90.00
loop_
_space_group_symop_operation_xyz
'x,y,z'
'-x,-y,-z'
'-x+1/2,-y,z+1/2'
'x+1/2,y,-z+1/2'
'x+1/2,-y+1/2,-z+1/2'
'-x+1/2,y+1/2,z+1/2'
'-x,y+1/2,-z'
'x,-y+1/2,z'
loop_
_atom_site_label
_atom_site_fract_x
_atom_site_fract_y
_atom_site_fract_z
Ho1 0.0392 0.2500 0.1836
Zn1 0.1361 0.2500 0.5631
Rh1 0.2451 0.7500 0.3758
```

Calculated values
- ΔE_f: -2.365 eV per formula unit
- Calculated total energy: -22.76 eV per atom



(8)
Material: TcF4
Method: DFT, meta-GGA r2SCAN
State: optimized geometry

Structure (CIF):
```
data_TcF4
_space_group_name_H-M_alt 'P b c a'
_space_group_IT_number 61
_cell_length_a 5.3817
_cell_length_b 9.3373
_cell_length_c 11.2126
_cell_angle_alpha 90.00
_cell_angle_beta 90.00
_cell_angle_gamma 90.00
loop_
_space_group_symop_operation_xyz
'x,y,z'
'-x,-y,-z'
'-x+1/2,-y,z+1/2'
'x+1/2,y,-z+1/2'
'x+1/2,-y+1/2,-z'
'-x+1/2,y+1/2,z'
'-x,y+1/2,-z+1/2'
'x,-y+1/2,z+1/2'
loop_
_atom_site_label
_atom_site_fract_x
_atom_site_fract_y
_atom_site_fract_z
Tc1 0.0935 0.1284 0.1726
F1 0.0593 0.7482 0.4349
F2 0.0920 0.7395 0.1927
F3 0.2187 0.5166 0.3059
F4 0.2404 0.0074 0.0641
```

Calculated values
- ΔE_f: -11.346 eV per formula unit
- Calculated total energy: -9.96 eV per atom



(9)
Material: Ag3PS4
Method: DFT, meta-GGA r2SCAN
State: optimized geometry

Structure (CIF):
```
data_Ag3PS4
_space_group_name_H-M_alt 'P m n 21'
_space_group_IT_number 31
_cell_length_a 7.6507
_cell_length_b 6.8393
_cell_length_c 6.5703
_cell_angle_alpha 90.00
_cell_angle_beta 90.00
_cell_angle_gamma 90.00
loop_
_space_group_symop_operation_xyz
'x,y,z'
'-x+1/2,-y,z+1/2'
'-x,y,z'
'x+1/2,-y,z+1/2'
loop_
_atom_site_label
_atom_site_fract_x
_atom_site_fract_y
_atom_site_fract_z
Ag1 0.0000 0.1388 0.0000
Ag2 0.2341 0.3079 0.5344
P1 0.0000 0.8109 0.5106
S1 0.0000 0.0880 0.3895
S2 0.0000 0.8083 0.8213
S3 0.2206 0.6655 0.4106
```

Calculated values
- ΔE_f: -2.049 eV per formula unit
- Calculated total energy: -13.41 eV per atom



(10)
Material: K5YO4
Method: DFT, meta-GGA r2SCAN
State: optimized geometry

Structure (CIF):
```
data_K5YO4
_space_group_name_H-M_alt 'P b c a'
_space_group_IT_number 61
_cell_length_a 11.7799
_cell_length_b 12.2861
_cell_length_c 12.0898
_cell_angle_alpha 90.00
_cell_angle_beta 90.00
_cell_angle_gamma 90.00
loop_
_space_group_symop_operation_xyz
'x,y,z'
'-x,-y,-z'
'-x+1/2,-y,z+1/2'
'x+1/2,y,-z+1/2'
'x+1/2,-y+1/2,-z'
'-x+1/2,y+1/2,z'
'-x,y+1/2,-z+1/2'
'x,-y+1/2,z+1/2'
loop_
_atom_site_label
_atom_site_fract_x
_atom_site_fract_y
_atom_site_fract_z
K1 0.0813 0.1426 0.1251
K2 0.1000 0.6678 0.8787
K3 0.1391 0.0945 0.3835
K4 0.1412 0.6195 0.1514
K5 0.1770 0.6152 0.6039
Y1 0.1124 0.1301 0.8519
O1 0.0021 0.0235 0.7565
O2 0.0020 0.2383 0.9419
O3 0.2175 0.2384 0.7564
O4 0.2257 0.0565 0.9725
```

Calculated values
- ΔE_f: -18.934 eV per formula unit
- Calculated total energy: -9.32 eV per atom



(11)
Material: ThNi
Method: DFT, meta-GGA r2SCAN
State: optimized geometry

Structure (CIF):
```
data_ThNi
_space_group_name_H-M_alt 'P n m a'
_space_group_IT_number 62
_cell_length_a 14.0685
_cell_length_b 4.2790
_cell_length_c 5.6972
_cell_angle_alpha 90.00
_cell_angle_beta 90.00
_cell_angle_gamma 90.00
loop_
_space_group_symop_operation_xyz
'x,y,z'
'-x,-y,-z'
'-x+1/2,-y,z+1/2'
'x+1/2,y,-z+1/2'
'x+1/2,-y+1/2,-z+1/2'
'-x+1/2,y+1/2,z+1/2'
'-x,y+1/2,-z'
'x,-y+1/2,z'
loop_
_atom_site_label
_atom_site_fract_x
_atom_site_fract_y
_atom_site_fract_z
Th1 0.0335 0.2500 0.2462
Th2 0.2166 0.7500 0.5477
Ni1 0.1038 0.2500 0.7607
Ni2 0.1448 0.7500 0.0399
```

Calculated values
- ΔE_f: -0.778 eV per formula unit
- Calculated total energy: -43.12 eV per atom



(12)
Material: V6Ga5
Method: DFT, meta-GGA r2SCAN
State: optimized geometry

Structure (CIF):
```
data_V6Ga5
_space_group_name_H-M_alt 'P 63/m m c'
_space_group_IT_number 194
_space_group_name_Hall '-P 6c 2c'
_cell_length_a 8.4174
_cell_length_b 8.4174
_cell_length_c 5.0891
_cell_angle_alpha 90.00
_cell_angle_beta 90.00
_cell_angle_gamma 120.00
loop_
_atom_site_label
_atom_site_fract_x
_atom_site_fract_y
_atom_site_fract_z
V1 0.0000 0.5000 0.0000
V2 0.1564 0.3128 0.2500
Ga1 0.0000 0.0000 0.0000
Ga2 0.2033 0.4066 0.7500
Ga3 0.3333 0.6667 0.2500
```

Calculated values
- ΔE_f: -2.837 eV per formula unit
- Calculated total energy: -13.14 eV per atom



> Among the records above, which one has the lowest calculated total energy?

ThNi



Repeat the tenth record exactly.
Material: K5YO4
Method: DFT, meta-GGA r2SCAN
State: optimized geometry

Structure (CIF):
```
data_K5YO4
_space_group_name_H-M_alt 'P b c a'
_space_group_IT_number 61
_cell_length_a 11.7799
_cell_length_b 12.2861
_cell_length_c 12.0898
_cell_angle_alpha 90.00
_cell_angle_beta 90.00
_cell_angle_gamma 90.00
loop_
_space_group_symop_operation_xyz
'x,y,z'
'-x,-y,-z'
'-x+1/2,-y,z+1/2'
'x+1/2,y,-z+1/2'
'x+1/2,-y+1/2,-z'
'-x+1/2,y+1/2,z'
'-x,y+1/2,-z+1/2'
'x,-y+1/2,z+1/2'
loop_
_atom_site_label
_atom_site_fract_x
_atom_site_fract_y
_atom_site_fract_z
K1 0.0813 0.1426 0.1251
K2 0.1000 0.6678 0.8787
K3 0.1391 0.0945 0.3835
K4 0.1412 0.6195 0.1514
K5 0.1770 0.6152 0.6039
Y1 0.1124 0.1301 0.8519
O1 0.0021 0.0235 0.7565
O2 0.0020 0.2383 0.9419
O3 0.2175 0.2384 0.7564
O4 0.2257 0.0565 0.9725
```

Calculated values
- ΔE_f: -18.934 eV per formula unit
- Calculated total energy: -9.32 eV per atom